[1]
Computed, not measured: a geometry-optimized Li5SbS structure at the PBE level of DFT.

Properties
Offset from the most stable computed form in eV per formula unit: 0.39
E_form in eV per atom: -0.901
Spin magnetization in Bohr magnetons per cell: 0.0

The structure in POSCAR format:
```
Li5SbS
1.0
-3.027 -6.920 -3.051
6.422 -4.270 3.311
-7.572 -3.001 14.318
Li S Sb
40 8 8
Direct
0.330 0.449 0.847 Li
0.487 0.999 0.608 Li
0.670 0.551 0.153 Li
0.378 0.724 0.244 Li
0.122 0.724 0.744 Li
0.998 0.297 0.588 Li
0.513 0.001 0.392 Li
0.688 0.994 0.199 Li
0.570 0.739 0.748 Li
0.188 0.006 0.301 Li
0.013 0.999 0.108 Li
0.830 0.692 0.865 Li
0.712 0.284 0.923 Li
0.212 0.716 0.577 Li
0.812 0.994 0.699 Li
0.068 0.382 0.958 Li
0.932 0.618 0.042 Li
0.070 0.261 0.752 Li
0.930 0.739 0.248 Li
0.170 0.308 0.135 Li
0.825 0.986 0.533 Li
0.502 0.297 0.088 Li
0.568 0.618 0.542 Li
0.432 0.382 0.458 Li
0.788 0.284 0.423 Li
0.670 0.692 0.365 Li
0.622 0.276 0.756 Li
0.002 0.703 0.412 Li
0.498 0.703 0.912 Li
0.830 0.551 0.653 Li
0.170 0.449 0.347 Li
0.288 0.716 0.077 Li
0.430 0.261 0.252 Li
0.330 0.308 0.635 Li
0.325 0.014 0.967 Li
0.987 0.001 0.892 Li
0.175 0.014 0.467 Li
0.675 0.986 0.033 Li
0.312 0.006 0.801 Li
0.878 0.276 0.256 Li
0.811 0.794 0.123 S
0.878 0.503 0.334 S
0.189 0.206 0.877 S
0.378 0.497 0.166 S
0.622 0.503 0.834 S
0.689 0.794 0.623 S
0.122 0.497 0.666 S
0.311 0.206 0.377 S
0.160 0.708 0.917 Sb
0.660 0.292 0.583 Sb
0.840 0.292 0.083 Sb
0.850 0.988 0.357 Sb
0.150 0.012 0.643 Sb
0.340 0.708 0.417 Sb
0.350 0.012 0.143 Sb
0.650 0.988 0.857 Sb
```



[2]
Computed, not measured: a geometry-optimized NaZr3TaSi3S3O24 structure at the PBE level of DFT.

Properties
E_form in eV per atom: -2.871
Spin magnetization in Bohr magnetons per cell: 0.0

The structure in POSCAR format:
```
NaZr3TaSi3S3O24
1.0
8.989 0.010 -0.043
-4.486 7.794 0.016
-0.110 -0.017 23.401
O Na S Si Zr Ta
72 3 9 9 9 3
Direct
0.013 0.178 0.195 O
0.176 0.975 0.198 O
0.356 0.499 0.072 O
0.533 0.843 0.469 O
0.512 0.869 0.365 O
0.823 0.301 0.245 O
0.786 0.964 0.411 O
0.892 0.373 0.634 O
0.846 0.542 0.741 O
0.854 0.304 0.532 O
0.973 0.163 0.306 O
0.316 0.844 0.973 O
0.350 0.854 0.570 O
0.352 0.860 0.860 O
0.181 0.211 0.409 O
0.708 0.152 0.033 O
0.488 0.360 0.421 O
0.203 0.025 0.301 O
0.303 0.848 0.256 O
0.646 0.123 0.136 O
0.122 0.478 0.865 O
0.542 0.688 0.969 O
0.852 0.489 0.423 O
0.022 0.822 0.697 O
0.525 0.872 0.077 O
0.796 0.821 0.912 O
0.970 0.790 0.801 O
0.182 0.018 0.596 O
0.167 0.680 0.472 O
0.636 0.123 0.423 O
0.869 0.510 0.140 O
0.148 0.456 0.969 O
0.457 0.288 0.029 O
0.534 0.839 0.755 O
0.507 0.148 0.923 O
0.518 0.642 0.865 O
0.138 0.638 0.360 O
0.312 0.463 0.467 O
0.143 0.655 0.076 O
0.828 0.023 0.094 O
0.477 0.313 0.745 O
0.166 0.466 0.257 O
0.546 0.702 0.258 O
0.983 0.183 0.591 O
0.971 0.817 0.098 O
0.693 0.541 0.245 O
0.489 0.351 0.141 O
0.798 0.819 0.199 O
0.818 0.983 0.693 O
0.831 0.819 0.597 O
0.167 0.186 0.693 O
0.830 0.025 0.807 O
0.869 0.358 0.924 O
0.022 0.202 0.913 O
0.634 0.505 0.638 O
0.160 0.975 0.914 O
0.028 0.831 0.406 O
0.363 0.489 0.364 O
0.704 0.545 0.528 O
0.456 0.155 0.244 O
0.205 0.168 0.805 O
0.498 0.124 0.637 O
0.184 0.163 0.095 O
0.138 0.486 0.572 O
0.642 0.512 0.922 O
0.833 0.539 0.027 O
0.295 0.471 0.760 O
0.823 0.793 0.302 O
0.152 0.699 0.755 O
0.708 0.182 0.742 O
0.498 0.646 0.565 O
0.463 0.161 0.526 O
0.013 0.994 0.994 Na
0.652 0.313 0.830 Na
0.686 0.339 0.335 Na
0.335 0.383 0.417 S
0.613 0.950 0.417 S
0.997 0.713 0.749 S
0.042 0.377 0.916 S
0.962 0.334 0.583 S
0.623 0.669 0.917 S
0.715 0.716 0.250 S
0.286 0.003 0.250 S
0.672 0.044 0.084 S
0.722 0.010 0.749 Si
0.668 0.630 0.585 Si
0.371 0.048 0.583 Si
0.991 0.279 0.251 Si
0.333 0.957 0.916 Si
0.041 0.659 0.417 Si
0.286 0.291 0.749 Si
0.380 0.338 0.084 Si
0.953 0.628 0.083 Si
0.644 0.322 0.688 Zr
0.668 0.346 0.485 Zr
0.318 0.667 0.023 Zr
0.679 0.346 0.184 Zr
0.994 0.999 0.360 Zr
0.349 0.685 0.805 Zr
0.312 0.654 0.309 Zr
0.013 0.011 0.851 Zr
0.653 0.334 0.980 Zr
0.999 0.002 0.646 Ta
0.328 0.675 0.526 Ta
0.011 0.012 0.144 Ta
```



[3]
Computed, not measured: a geometry-optimized La2Ti2ZnO8 structure at the PBE level of DFT.

Properties
E_form in eV per atom: -3.403
Spin magnetization in Bohr magnetons per cell: 0.0

The structure in POSCAR format:
```
La2Ti2ZnO8
1.0
-0.568 -1.490 -3.365
-1.138 -3.166 1.594
-12.017 4.367 0.094
La O Ti Zn
2 8 2 1
Direct
0.000 0.500 0.386 La
0.500 0.000 0.614 La
0.000 0.500 0.932 O
0.500 0.000 0.068 O
0.500 0.000 0.427 O
0.000 0.500 0.573 O
0.000 0.000 0.254 O
0.500 0.500 0.750 O
0.000 0.000 0.746 O
0.500 0.500 0.250 O
0.500 0.000 0.210 Ti
0.000 0.500 0.790 Ti
0.500 0.500 0.000 Zn
```



[4]
Computed, not measured: a geometry-optimized BaMg14Fe structure at the PBE level of DFT.

Properties
Offset from the most stable computed form in eV per formula unit: 0.85
E_form in eV per atom: 0.212
Spin magnetization in Bohr magnetons per cell: 0.0

The structure in POSCAR format:
```
BaMg14Fe
1.0
6.493 0.000 0.000
-3.246 5.623 0.000
0.000 0.000 10.522
Ba Mg Fe
1 14 1
Direct
0.167 0.333 0.625 Ba
0.328 0.172 0.911 Mg
0.328 0.172 0.339 Mg
0.660 0.840 0.625 Mg
0.180 0.840 0.625 Mg
0.833 0.667 0.386 Mg
0.843 0.172 0.339 Mg
0.675 0.350 0.125 Mg
0.833 0.667 0.864 Mg
0.328 0.657 0.339 Mg
0.150 0.825 0.125 Mg
0.675 0.825 0.125 Mg
0.660 0.320 0.625 Mg
0.328 0.657 0.911 Mg
0.843 0.172 0.911 Mg
0.167 0.333 0.125 Fe
```